1.
## CdI3NO (GGA-PBE)

Data for an optimized crystal structure of CdI3NO.

## Properties
For the calculated formation energy, the calculation gives 0.6392 eV per atom. As for the total energy: -2.46 eV/atom. For the total moment, the calculation gives 15.83 μB/cell. The symmetry is Pmc2_1, No. 26.

Unit cell a=8.284 b=7.070 c=17.491 alpha=90.00 beta=90.00 gamma=90.00
Atoms (fractional coordinates):
Cd1 0.710 0.000 0.021
I1 0.452 0.750 0.416
N1 0.195 0.249 0.149
I2 0.548 0.750 0.916
Cd2 0.280 0.500 0.519
Cd3 0.290 0.000 0.521
I3 0.548 0.250 0.916
I4 0.424 0.000 0.666
I5 0.408 0.500 0.666
O1 0.950 0.087 0.294
O2 0.950 0.913 0.294
N2 0.195 0.751 0.149
I6 0.050 0.500 0.994
I7 0.452 0.250 0.416
I8 0.950 0.500 0.494
Cd4 0.720 0.500 0.019
I9 0.576 0.000 0.166
I10 0.954 0.000 0.508
O3 0.050 0.913 0.794
I11 0.046 0.000 0.008
I12 0.592 0.500 0.166
N3 0.805 0.249 0.649
O4 0.050 0.087 0.794
N4 0.805 0.751 0.649



2.
## CdIO4 (GGA-PBE)

Data for an optimized crystal structure of CdIO4.

## Properties
For the calculated formation energy, the calculation gives -0.9249 eV per atom. As for the total energy: -4.17 eV/atom. For the total moment, the calculation gives 3.97 μB/cell. The symmetry is Pnma, No. 62.

Unit cell a=4.931 b=6.934 c=11.124 alpha=90.00 beta=90.00 gamma=90.00
Atoms (fractional coordinates):
O1 0.730 0.546 0.331
O2 0.355 0.250 0.883
O3 0.230 0.046 0.169
Cd1 0.000 0.500 0.500
O4 0.709 0.250 0.571
O5 0.770 0.954 0.831
O6 0.230 0.454 0.169
Cd2 0.500 0.000 0.000
O7 0.770 0.546 0.831
O8 0.270 0.046 0.669
O9 0.855 0.750 0.617
O10 0.645 0.750 0.117
O11 0.270 0.454 0.669
O12 0.145 0.250 0.383
I1 0.485 0.250 0.714
Cd3 0.500 0.500 0.000
O13 0.791 0.250 0.071
O14 0.291 0.750 0.429
O15 0.209 0.750 0.929
Cd4 0.000 0.000 0.500
I2 0.985 0.750 0.786
I3 0.515 0.750 0.286
I4 0.015 0.250 0.214
O16 0.730 0.954 0.331



3.
## CdIO9 (GGA-PBE)

Data for an optimized crystal structure of CdIO9.

## Properties
For the calculated formation energy, the calculation gives 0.1327 eV per atom. As for the total energy: -3.58 eV/atom. For the total moment, the calculation gives 35.99 μB/cell. The symmetry is P2_1/c, No. 14.

Unit cell a=13.198 b=5.602 c=9.781 alpha=62.96 beta=90.00 gamma=90.00
Atoms (fractional coordinates):
O1 0.512 0.779 0.241
O2 0.845 0.578 0.015
O3 0.790 0.996 0.367
O4 0.646 0.527 0.078
O5 0.668 0.975 0.137
O6 0.293 0.461 0.227
O7 0.168 0.025 0.363
Cd1 0.928 0.793 0.317
O8 0.132 0.024 0.944
Cd2 0.072 0.207 0.683
O9 0.515 0.298 0.941
O10 0.049 0.616 0.222
O11 0.354 0.473 0.922
O12 0.988 0.779 0.741
O13 0.793 0.539 0.273
O14 0.290 0.004 0.133
O15 0.015 0.702 0.559
O16 0.146 0.473 0.422
O17 0.368 0.024 0.444
Cd3 0.572 0.793 0.817
O18 0.155 0.422 0.985
O19 0.012 0.221 0.259
O20 0.451 0.616 0.722
O21 0.207 0.461 0.727
O22 0.549 0.384 0.278
O23 0.485 0.702 0.059
O24 0.710 0.996 0.867
I1 0.751 0.773 0.572
O25 0.832 0.975 0.637
I2 0.749 0.773 0.072
O26 0.632 0.976 0.556
O27 0.854 0.527 0.578
O28 0.951 0.384 0.778
O29 0.332 0.025 0.863
O30 0.655 0.578 0.515
O31 0.985 0.298 0.441
Cd4 0.428 0.207 0.183
O32 0.488 0.221 0.759
O33 0.210 0.004 0.633
O34 0.707 0.539 0.773
O35 0.868 0.976 0.056
O36 0.345 0.422 0.485
I3 0.251 0.227 0.928
I4 0.249 0.227 0.428



- Which of these has the highest calculated formation energy?
  CdI3NO



- total moment of number 1 (CdI3NO)?
  15.83 μB/cell